1.
RbSr2MgNb3O10: optimized geometry, PBE.

Unit cell a=4.0663 b=4.0663 c=16.1013 alpha=90.00 beta=90.00 gamma=90.00
Closest atoms and distances in Å follow each position.
Element x y z (fractional)
Rb 0.5000 0.5000 0.4331  4 O 2.98
Sr 0.5000 0.5000 0.1476  8 O 2.62-2.90
Sr 0.5000 0.5000 0.8886  8 O 2.69-2.88
Mg 0.5000 0.5000 0.6725  4 O 2.34
Nb 0.0000 0.0000 0.0044  6 O 1.95-2.10
Nb 0.0000 0.0000 0.2714  1 O 1.82
Nb 0.0000 0.0000 0.7385  5 O 1.88-2.03
O 0.0000 0.0000 0.6218  1 Nb 1.88
O 0.0000 0.0000 0.3847  1 Nb 1.82
O 0.5000 0.0000 0.7438  2 Nb 2.03
O 0.0000 0.5000 0.7438  2 Nb 2.03
O 0.5000 0.0000 0.2499  2 Nb 2.06
O 0.0000 0.5000 0.2499  2 Nb 2.06
O 0.0000 0.5000 0.9980  2 Nb 2.04
O 0.5000 0.0000 0.9980  2 Nb 2.04
O 0.0000 0.0000 0.1258  1 Nb 1.95
O 0.0000 0.0000 0.8740  2 Nb 2.10-2.18

Output
The calculation puts the energy above the most stable polymorph in this dataset at 62 meV/atom. The total energy comes out at -7.53 eV/atom. For the formation energy, the calculation gives -279 kJ/mol of atoms. The calculation puts the magnetic moment at 0.000 μB per atom.

=====

2.
Li5GeN3: optimized geometry, PBE.

Unit cell a=8.3107 b=8.3724 c=21.1102 alpha=97.63 beta=97.53 gamma=109.23
Closest atoms and distances in Å follow each position.
Element x y z (fractional)
Li 0.3978 0.8880 0.0674  2 N 2.02-2.09
Li 0.9067 0.8849 0.0850  4 N 2.11-2.18, 3 Li 2.26-2.29
Li 0.1757 0.6563 0.0806  4 N 2.09-2.19, 1 Li 2.27
Li 0.3229 0.5720 0.1750  3 N 2.06-2.12, 1 Li 2.27
Li 0.0148 0.5231 0.2454  4 N 2.08-2.16, 3 Li 2.26-2.32
Li 0.6660 0.6484 0.0804  4 N 2.07-2.16, 3 Li 2.26-2.30
Li 0.4258 0.6655 0.3386  3 N 2.03-2.12
Li 0.5213 0.5183 0.2563  4 N 2.03-2.17
Li 0.4101 0.4495 0.0870  4 N 2.09-2.20, 4 Li 2.26-2.32
Li 0.0864 0.3274 0.1769  4 N 2.04-2.14, 1 Li 2.27
Li 0.5689 0.5479 0.4167  4 N 2.08-2.22, 2 Li 2.30
Li 0.8389 0.3320 0.4211  3 N 2.02-2.19, 1 Li 2.24
Li 0.8387 0.6198 0.1742  3 N 2.04-2.15, 1 Li 2.26
Li 0.8479 0.0801 0.1539  4 N 2.00-2.22
Li 0.9999 0.2731 0.5065  3 N 1.96-2.15, 1 Li 2.19
Li 0.7188 0.1948 0.5924  3 N 2.04-2.15, 1 Li 2.26
Li 0.3367 0.3186 0.4286  4 N 2.04-2.24
Li 0.5783 0.3665 0.1636  4 N 2.03-2.21
Li 0.2845 0.2490 0.2378  3 N 2.03-2.10, 1 Li 2.27
Li 0.9004 0.1371 0.3322  4 N 2.09-2.12, 1 Li 2.33
Li 0.6786 0.4191 0.3387  4 N 2.10-2.20, 3 Li 2.28-2.31
Li 0.0698 0.3327 0.6784  4 N 1.98-2.19
Li 0.7264 0.2309 0.7382  3 N 2.01-2.14
Li 0.0724 0.1144 0.4271  4 N 2.11-2.22, 3 Li 2.27-2.33
Li 0.7605 0.0024 0.5103  4 N 2.05-2.19, 1 Li 2.29
Li 0.5935 0.0695 0.9185  3 N 2.00-2.24, 2 Li 2.18-2.21
Li 0.4257 0.1966 0.3330  4 N 2.02-2.20
Li 0.2331 0.2157 0.7542  4 N 2.08-2.31, 3 Li 2.24-2.32
Li 0.5144 0.9854 0.7521  4 N 2.09-2.30, 2 Li 2.31-2.33
Li 0.0066 0.0149 0.2375  4 N 2.02-2.24
Li 0.6381 0.1432 0.0897  4 N 2.07-2.20, 1 Li 2.31
Li 0.3587 0.0764 0.1599  4 N 2.07-2.27, 1 Li 2.28
Li 0.5141 0.2684 0.5162  4 N 2.02-2.23
Li 0.8417 0.0630 0.6685  4 N 2.03-2.18
Li 0.4974 0.7373 0.4892  4 N 2.09-2.21, 3 Li 2.29-2.33
Li 0.4776 0.0069 0.2509  4 N 2.04-2.25, 1 Li 2.28
Li 0.7683 0.7686 0.2571  4 N 2.10-2.19, 3 Li 2.26-2.34
Li 0.6690 0.9148 0.8451  3 N 1.93-2.12
Li 0.3608 0.8455 0.9201  3 N 1.97-2.17
Li 0.0054 0.9765 0.7501  4 N 2.05-2.23, 2 Li 2.24-2.27
Li 0.5818 0.8165 0.6635  4 N 2.05-2.24
Li 0.7349 0.9786 0.0065  3 N 2.02-2.20
Li 0.2491 0.0105 0.4919  4 N 2.04-2.12
Li 0.3496 0.0818 0.6783  4 N 2.05-2.22
Li 0.9226 0.9069 0.5820  4 N 2.08-2.19, 3 Li 2.26-2.31
Li 0.1113 0.8351 0.1663  4 N 2.01-2.21
Li 0.8453 0.8561 0.9240  4 N 2.03-2.26
Li 0.2637 0.7478 0.2529  4 N 2.09-2.19, 3 Li 2.26-2.32
Li 0.9145 0.6499 0.3288  4 N 2.08-2.19, 2 Li 2.31-2.32
Li 0.0946 0.8465 0.6641  4 N 2.09-2.16, 3 Li 2.31-2.32
Li 0.7440 0.7830 0.7552  4 N 2.14-2.23, 4 Li 2.27-2.33
Li 0.4288 0.6699 0.8453  2 N 1.97-2.14
Li 0.6391 0.9098 0.3231  4 N 2.12-2.17, 4 Li 2.30-2.33
Li 0.6710 0.6858 0.5733  4 N 2.06-2.19, 2 Li 2.26-2.29
Li 0.3032 0.7998 0.4183  4 N 2.09-2.21, 2 Li 2.28-2.29
Li 0.0017 0.7448 0.4975  3 N 2.02-2.23, 1 Li 2.20
Li 0.1812 0.9467 0.8450  4 N 2.05-2.25, 1 Li 2.28
Li 0.4967 0.7217 0.9933  3 N 2.01-2.18
Li 0.1808 0.4208 0.8228  4 N 2.05-2.18, 1 Li 2.29
Li 0.4361 0.4585 0.5837  4 N 2.09-2.29, 3 Li 2.29-2.32
Li 0.0687 0.5629 0.4191  2 N 1.92-2.07
Li 0.1589 0.6723 0.5727  2 N 1.95-2.05
Li 0.9103 0.7050 0.8342  3 N 2.01-2.20
Li 0.0013 0.7506 0.0040  4 N 2.08-2.18, 3 Li 2.28-2.29
Li 0.2450 0.4762 0.9945  4 N 2.08-2.32, 1 Li 2.32
Li 0.6118 0.5964 0.9126  2 N 2.01-2.05, 1 Li 2.23
Li 0.7648 0.5004 0.5017  2 N 1.96-2.14
Li 0.2404 0.5016 0.4990  4 N 2.00-2.14
Li 0.9376 0.4324 0.5835  3 N 2.04-2.18, 2 Li 2.19-2.26
Li 0.5648 0.3128 0.6550  4 N 2.01-2.22
Li 0.7563 0.5181 0.9964  4 N 2.08-2.20, 4 Li 2.28-2.33
Li 0.3005 0.5808 0.6548  4 N 2.10-2.20, 2 Li 2.32
Li 0.3450 0.3477 0.9049  4 N 2.06-2.27
Li 0.9656 0.4801 0.7604  4 N 2.09-2.16, 2 Li 2.30-2.31
Li 0.6852 0.4180 0.8304  4 N 2.12-2.15, 1 Li 2.27
Li 0.8084 0.3329 0.9160  3 N 2.04-2.20, 1 Li 2.27
Li 0.1013 0.1047 0.9228  4 N 2.11-2.18, 3 Li 2.28-2.29
Li 0.4448 0.1645 0.8336  4 N 2.01-2.20
Li 0.9658 0.2317 0.9908  4 N 2.07-2.26, 1 Li 2.29
Li 0.2330 0.9738 0.9900  4 N 2.05-2.30, 3 Li 2.28
Ge 0.9027 0.4128 0.0867  4 N 1.85-2.00
Ge 0.7508 0.2476 0.2436  4 N 1.85-1.98
Ge 0.1712 0.4050 0.3298  4 N 1.86-2.01
Ge 0.5668 0.0812 0.4216  4 N 1.85-1.99
Ge 0.1520 0.1566 0.0806  4 N 1.84-2.01
Ge 0.1795 0.1808 0.5859  4 N 1.87-2.01
Ge 0.4297 0.9276 0.5823  4 N 1.85-2.04
Ge 0.1550 0.9313 0.3339  4 N 1.85-1.99
Ge 0.2323 0.7418 0.7555  4 N 1.85-2.00
Ge 0.8109 0.8252 0.4137  4 N 1.84-2.04
Ge 0.5751 0.8303 0.1629  3 N 1.86-1.88
Ge 0.0779 0.5835 0.9141  4 N 1.85-2.05
Ge 0.8202 0.5932 0.6665  4 N 1.85-2.01
Ge 0.4802 0.4909 0.7459  4 N 1.84-1.97
Ge 0.4879 0.2587 0.9998  4 N 1.84-2.03
Ge 0.9116 0.1674 0.8292  4 N 1.87-2.04
N 0.6545 0.9011 0.0893  1 Ge 1.86, 3 Li 2.00-2.07
N 0.9223 0.6396 0.0878  1 Ge 1.85, 1 Li 2.04
N 0.5878 0.6143 0.1725  1 Ge 1.88, 3 Li 2.03-2.10
N 0.8326 0.3377 0.1682  2 Ge 1.96-2.00, 3 Li 2.12-2.19
N 0.6780 0.6771 0.3385  1 Ge 1.84, 1 Li 2.03
N 0.3070 0.5490 0.4072  1 Ge 1.87, 2 Li 2.03-2.07
N 0.2518 0.4872 0.2579  1 Ge 1.86, 3 Li 2.04-2.08
N 0.1312 0.3901 0.0844  2 Ge 1.98-2.01, 3 Li 2.14-2.20
N 0.9228 0.3898 0.3219  2 Ge 1.98-2.01, 4 Li 2.11-2.19
N 0.5822 0.3059 0.4209  1 Ge 1.85, 1 Li 2.02
N 0.2542 0.2570 0.5120  1 Ge 1.87, 2 Li 2.04
N 0.5355 0.2627 0.2496  1 Ge 1.85, 2 Li 2.03-2.04
N 0.7348 0.2590 0.0130  2 Ge 1.93-2.03, 2 Li 2.11
N 0.3983 0.1836 0.0779  2 Ge 1.99, 4 Li 2.07-2.21
N 0.4967 0.9943 0.4975  2 Ge 1.93-2.04, 3 Li 2.10-2.15
N 0.3283 0.3339 0.6669  2 Ge 1.97-1.98, 3 Li 2.07-2.20
N 0.1621 0.1652 0.3346  2 Ge 1.94-2.00, 2 Li 2.10-2.12
N 0.9511 0.1655 0.5882  1 Ge 1.87, 3 Li 2.04-2.08
N 0.9880 0.2372 0.7544  1 Ge 1.87, 3 Li 1.98-2.09
N 0.1038 0.0866 0.1588  1 Ge 1.87, 3 Li 2.02-2.07
N 0.5795 0.0699 0.6562  1 Ge 1.85, 3 Li 2.01-2.06
N 0.2588 0.9698 0.7535  1 Ge 1.85, 1 Li 2.05
N 0.7926 0.0569 0.4133  2 Ge 1.98-2.00, 5 Li 2.12-2.19
N 0.9269 0.9512 0.8376  1 Ge 1.89, 3 Li 2.01-2.09
N 0.7414 0.0126 0.2418  2 Ge 1.94-2.09, 2 Li 2.09-2.17
N 0.3968 0.9317 0.3437  2 Ge 1.99, 4 Li 2.13-2.20
N 0.1974 0.9462 0.5830  2 Ge 1.99-2.01, 5 Li 2.12-2.19
N 0.0636 0.8562 0.4095  2 Ge 1.95-2.04, 3 Li 2.11-2.16
N 0.0263 0.7796 0.2582  1 Ge 1.85
N 0.3513 0.8288 0.1673  1 Ge 1.87, 3 Li 2.01-2.08
N 0.1599 0.6686 0.8334  2 Ge 1.93-2.05, 2 Li 2.12
N 0.0086 0.0097 0.0073  1 Ge 1.84, 2 Li 2.05
N 0.8344 0.8176 0.6656  1 Ge 1.85, 1 Li 2.03
N 0.4577 0.7147 0.7450  2 Ge 1.95-2.00, 2 Li 2.10-2.14
N 0.5931 0.8308 0.9209  8 Li 1.93-2.03
N 0.2328 0.7206 0.9892  1 Ge 1.87, 2 Li 2.02-2.08
N 0.7562 0.7550 0.4901  1 Ge 1.85, 3 Li 2.05-2.06
N 0.4144 0.6980 0.5770  1 Ge 1.87, 4 Li 2.05-2.09
N 0.8564 0.5883 0.9136  1 Ge 1.85, 2 Li 2.05
N 0.6890 0.4393 0.5910  1 Ge 1.86, 2 Li 2.01-2.02
N 0.7202 0.5130 0.7414  2 Ge 1.96-1.97, 3 Li 2.14-2.18
N 0.0626 0.5896 0.6796  2 Ge 1.97-2.01, 5 Li 2.13-2.18
N 0.0006 0.5041 0.4989  8 Li 1.92-2.04
N 0.4979 0.4814 0.9996  1 Ge 1.84, 1 Li 2.04
N 0.4268 0.4133 0.8206  1 Ge 1.84
N 0.0720 0.3443 0.9072  2 Ge 1.97-2.04, 4 Li 2.10-2.20
N 0.3581 0.1055 0.9245  1 Ge 1.85, 2 Li 2.05-2.06
N 0.6858 0.1651 0.8307  1 Ge 1.87, 3 Li 2.01-2.09

Output
The total energy comes out at -4.83 eV/atom. For the formation energy, the calculation gives -57 kJ/mol of atoms. The calculation puts the magnetic moment at 0.000 μB per atom.

=====

3.
Li4Cu3F10: optimized geometry, PBE.

Unit cell a=5.4297 b=5.6569 c=8.1993 alpha=104.26 beta=94.23 gamma=114.36
Closest atoms and distances in Å follow each position.
Element x y z (fractional)
Li 0.0608 0.9823 0.6919  4 F 1.88-1.99
Li 0.6018 0.0805 0.7121  3 F 1.88-2.01
Li 0.3982 0.9195 0.2879  3 F 1.88-2.01
Li 0.9392 0.0177 0.3081  4 F 1.88-1.99
Cu 0.3202 0.6184 0.8507  4 F 1.90-1.97
Cu 0.5000 0.5000 0.5000  4 F 1.91-1.94
Cu 0.6798 0.3816 0.1493  4 F 1.90-1.97
F 0.9874 0.2851 0.7786  2 Li 1.88-1.90, 1 Cu 1.91
F 0.7154 0.7398 0.7204  1 Li 1.88, 1 Cu 1.91
F 0.2371 0.7545 0.6746  2 Li 1.88-2.01, 1 Cu 1.90
F 0.6353 0.8115 0.4145  1 Cu 1.94, 2 Li 1.97-1.99
F 0.3647 0.1885 0.5855  1 Cu 1.94, 2 Li 1.97-1.99
F 0.7629 0.2455 0.3254  2 Li 1.88-2.01, 1 Cu 1.90
F 0.2846 0.2602 0.2796  1 Li 1.88, 1 Cu 1.91
F 0.0126 0.7149 0.2214  2 Li 1.88-1.90, 1 Cu 1.91
F 0.5000 0.0000 0.0000  2 Cu 1.97
F 0.5000 0.5000 0.0000  2 Cu 1.92

Output
The total energy comes out at -4.39 eV/atom. For the formation energy, the calculation gives -228 kJ/mol of atoms. The calculation puts the magnetic moment at 0.176 μB per atom.

=====

Q: Among the records above, which one has the highest formation energy?
A: Li5GeN3